w) {"formula": "Os", "functional": "PBE-GGA", "state": "optimized geometry", "vol_a3_per_atom": 14.42, "cell": [[3.863, 0.000, 0.000], [0.000, 3.863, 0.000], [0.000, 0.000, 3.863]], "species": ["Os", "Os", "Os", "Os"], "frac_coords": [[0.000, 0.000, 0.000], [0.000, 0.500, 0.500], [0.500, 0.000, 0.500], [0.500, 0.500, 0.000]]}

---

x) {"formula": "Os", "functional": "PBE-GGA", "state": "optimized geometry", "total_magnetization_mub_per_cell": 0.00, "vol_a3_per_atom": 14.87, "cell": [[3.098, 0.000, 0.000], [0.000, 3.098, 0.000], [0.000, 0.000, 3.098]], "species": ["Os", "Os"], "frac_coords": [[0.000, 0.000, 0.000], [0.500, 0.500, 0.500]]}

---

Energy comparison, zero being the most stable, in kJ/mol of atoms: w) 0.0; x) 72.3.

---

w) {"formula": "PrOs2", "functional": "PBE-GGA", "state": "optimized geometry", "vol_a3_per_atom": 19.27, "cell": [[5.395, 0.000, 0.000], [-2.698, 4.673, 0.000], [0.000, 0.000, 9.171]], "species": ["Pr", "Pr", "Pr", "Pr", "Os", "Os", "Os", "Os", "Os", "Os", "Os", "Os"], "frac_coords": [[0.333, 0.667, 0.065], [0.333, 0.667, 0.435], [0.667, 0.333, 0.565], [0.667, 0.333, 0.935], [0.000, 0.000, 0.000], [0.000, 0.000, 0.500], [0.171, 0.341, 0.750], [0.171, 0.829, 0.750], [0.341, 0.171, 0.250], [0.659, 0.829, 0.750], [0.829, 0.171, 0.250], [0.829, 0.659, 0.250]]}

---

x) {"formula": "PrOs2", "functional": "PBE-GGA", "state": "optimized geometry", "vol_a3_per_atom": 19.29, "cell": [[0.000, 3.868, 3.868], [3.868, 0.000, 3.868], [3.868, 3.868, 0.000]], "species": ["Pr", "Pr", "Os", "Os", "Os", "Os"], "frac_coords": [[0.125, 0.125, 0.125], [0.875, 0.875, 0.875], [0.000, 0.500, 0.500], [0.500, 0.000, 0.500], [0.500, 0.500, 0.000], [0.500, 0.500, 0.500]]}

---

Energy comparison, zero being the most stable, in kJ/mol of atoms: w) 0.0; x) 2.2.

---

w) {"formula": "ZnP14Pb", "functional": "PBE-GGA", "state": "optimized geometry", "total_magnetization_mub_per_cell": 0.00, "vol_a3_per_atom": 21.35, "cell": [[12.946, 0.000, 0.000], [0.000, 9.900, 0.000], [0.000, 0.000, 10.662]], "species": ["Zn", "Zn", "Zn", "Zn", "P", "P", "P", "P", "P", "P", "P", "P", "P", "P", "P", "P", "P", "P", "P", "P", "P", "P", "P", "P", "P", "P", "P", "P", "P", "P", "P", "P", "P", "P", "P", "P", "P", "P", "P", "P", "P", "P", "P", "P", "P", "P", "P", "P", "P", "P", "P", "P", "P", "P", "P", "P", "P", "P", "P", "P", "Pb", "Pb", "Pb", "Pb"], "frac_coords": [[0.178, 0.250, 0.004], [0.322, 0.750, 0.504], [0.678, 0.250, 0.496], [0.822, 0.750, 0.996], [0.031, 0.578, 0.851], [0.031, 0.922, 0.851], [0.035, 0.250, 0.846], [0.060, 0.750, 0.721], [0.068, 0.084, 0.712], [0.068, 0.416, 0.712], [0.074, 0.580, 0.418], [0.074, 0.920, 0.418], [0.080, 0.250, 0.402], [0.137, 0.053, 0.133], [0.137, 0.447, 0.133], [0.175, 0.078, 0.333], [0.175, 0.422, 0.333], [0.175, 0.750, 0.358], [0.325, 0.250, 0.858], [0.325, 0.578, 0.833], [0.325, 0.922, 0.833], [0.363, 0.553, 0.633], [0.363, 0.947, 0.633], [0.420, 0.750, 0.902], [0.426, 0.080, 0.918], [0.426, 0.420, 0.918], [0.432, 0.584, 0.212], [0.432, 0.916, 0.212], [0.440, 0.250, 0.221], [0.465, 0.750, 0.346], [0.469, 0.078, 0.351], [0.469, 0.422, 0.351], [0.531, 0.578, 0.649], [0.531, 0.922, 0.649], [0.535, 0.250, 0.654], [0.560, 0.750, 0.779], [0.568, 0.084, 0.788], [0.568, 0.416, 0.788], [0.574, 0.580, 0.082], [0.574, 0.920, 0.082], [0.580, 0.250, 0.098], [0.637, 0.053, 0.367], [0.637, 0.447, 0.367], [0.675, 0.078, 0.167], [0.675, 0.422, 0.167], [0.675, 0.750, 0.142], [0.825, 0.250, 0.642], [0.825, 0.578, 0.667], [0.825, 0.922, 0.667], [0.863, 0.553, 0.867], [0.863, 0.947, 0.867], [0.920, 0.750, 0.598], [0.926, 0.080, 0.582], [0.926, 0.420, 0.582], [0.932, 0.584, 0.288], [0.932, 0.916, 0.288], [0.940, 0.250, 0.279], [0.965, 0.750, 0.154], [0.969, 0.078, 0.149], [0.969, 0.422, 0.149], [0.177, 0.750, 0.091], [0.323, 0.250, 0.591], [0.677, 0.750, 0.409], [0.823, 0.250, 0.909]]}

---

x) {"formula": "ZnP14Pb", "functional": "PBE-GGA", "state": "optimized geometry", "total_magnetization_mub_per_cell": 0.01, "vol_a3_per_atom": 27.10, "cell": [[14.903, 0.000, 0.000], [0.000, 9.712, 0.000], [0.000, 0.000, 11.984]], "species": ["Zn", "Zn", "Zn", "Zn", "P", "P", "P", "P", "P", "P", "P", "P", "P", "P", "P", "P", "P", "P", "P", "P", "P", "P", "P", "P", "P", "P", "P", "P", "P", "P", "P", "P", "P", "P", "P", "P", "P", "P", "P", "P", "P", "P", "P", "P", "P", "P", "P", "P", "P", "P", "P", "P", "P", "P", "P", "P", "P", "P", "P", "P", "Pb", "Pb", "Pb", "Pb"], "frac_coords": [[0.115, 0.250, 0.161], [0.385, 0.750, 0.661], [0.615, 0.250, 0.339], [0.885, 0.750, 0.839], [0.017, 0.067, 0.844], [0.017, 0.433, 0.844], [0.035, 0.250, 0.737], [0.043, 0.750, 0.818], [0.060, 0.572, 0.706], [0.060, 0.928, 0.706], [0.068, 0.075, 0.408], [0.068, 0.425, 0.408], [0.088, 0.750, 0.374], [0.128, 0.520, 0.144], [0.128, 0.980, 0.144], [0.150, 0.250, 0.351], [0.164, 0.566, 0.320], [0.164, 0.934, 0.320], [0.336, 0.066, 0.820], [0.336, 0.434, 0.820], [0.350, 0.750, 0.851], [0.372, 0.020, 0.644], [0.372, 0.480, 0.644], [0.412, 0.250, 0.874], [0.432, 0.575, 0.908], [0.432, 0.925, 0.908], [0.440, 0.072, 0.206], [0.440, 0.428, 0.206], [0.457, 0.250, 0.318], [0.465, 0.750, 0.237], [0.483, 0.567, 0.344], [0.483, 0.933, 0.344], [0.517, 0.067, 0.656], [0.517, 0.433, 0.656], [0.535, 0.250, 0.763], [0.543, 0.750, 0.682], [0.560, 0.572, 0.794], [0.560, 0.928, 0.794], [0.568, 0.075, 0.092], [0.568, 0.425, 0.092], [0.588, 0.750, 0.126], [0.628, 0.520, 0.356], [0.628, 0.980, 0.356], [0.650, 0.250, 0.149], [0.664, 0.566, 0.180], [0.664, 0.934, 0.180], [0.836, 0.066, 0.680], [0.836, 0.434, 0.680], [0.850, 0.750, 0.649], [0.872, 0.020, 0.856], [0.872, 0.480, 0.856], [0.912, 0.250, 0.626], [0.932, 0.575, 0.592], [0.932, 0.925, 0.592], [0.940, 0.072, 0.294], [0.940, 0.428, 0.294], [0.957, 0.250, 0.182], [0.965, 0.750, 0.263], [0.983, 0.567, 0.156], [0.983, 0.933, 0.156], [0.182, 0.750, 0.995], [0.318, 0.250, 0.495], [0.682, 0.750, 0.505], [0.818, 0.250, 0.005]]}

---

Energy comparison, zero being the most stable, in kJ/mol of atoms: w) 0.0; x) 7.4.